DFT (PBE) results for a relaxed structure of Li5Ni9As7.

abc: 9.3883 9.3883 3.7912
angles: 90.00 90.00 120.00
Fractional positions:
1 Li 0.7653 0.5494 0.5000
2 Li 0.4506 0.2160 0.5000
3 Li 0.7840 0.2347 0.5000
4 Li 0.3333 0.6667 0.0000
5 Li 0.0000 0.0000 0.5000
6 Ni 0.2779 0.3771 0.5000
7 Ni 0.6229 0.9009 0.5000
8 Ni 0.0991 0.7221 0.5000
9 Ni 0.4968 0.4539 0.0000
10 Ni 0.5461 0.0430 0.0000
11 Ni 0.9570 0.5032 0.0000
12 Ni 0.7147 0.7620 0.0000
13 Ni 0.2380 0.9527 0.0000
14 Ni 0.0473 0.2853 0.0000
15 As 0.9617 0.7559 0.0000
16 As 0.2441 0.2058 0.0000
17 As 0.7942 0.0383 0.0000
18 As 0.6667 0.3333 0.0000
19 As 0.5373 0.6231 0.5000
20 As 0.3769 0.9143 0.5000
21 As 0.0857 0.4627 0.5000

Properties
Its space group is P-6, No. 174. The value obtained for the formation energy from the elements is -477 meV/atom. Its crystal system is hexagonal.